The following is a DFT calculation (r2SCAN) of a geometry-optimized TcIr3 structure.

Structure (CIF):
```
data_TcIr3
_cell_length_a 5.4825
_cell_length_b 5.4825
_cell_length_c 4.3659
_cell_angle_alpha 90.00
_cell_angle_beta 90.00
_cell_angle_gamma 120.00
_symmetry_space_group_name_H-M 'P 63/m m c'
_symmetry_Int_Tables_number 194
_symmetry_space_group_name_Hall '-P 6c 2c'
loop_
_atom_site_label
_atom_site_fract_x
_atom_site_fract_y
_atom_site_fract_z
Tc1 0.3333 0.6667 0.2500
Ir1 0.1665 0.3329 0.7500
```

---

The following is a DFT calculation (r2SCAN) of a geometry-optimized Nd3Ho structure.

Structure (CIF):
```
data_Nd3Ho
_cell_length_a 5.152
_cell_length_b 5.152
_cell_length_c 5.152
_cell_angle_alpha 90.00
_cell_angle_beta 90.00
_cell_angle_gamma 90.00
_symmetry_space_group_name_H-M 'P m -3 m'
_symmetry_Int_Tables_number 221
_symmetry_space_group_name_Hall '-P 4 2 3'
loop_
_atom_site_label
_atom_site_fract_x
_atom_site_fract_y
_atom_site_fract_z
Nd1 0.000 0.000 0.500
Ho1 0.500 0.500 0.500
```

Computed properties:
* energy above the most stable polymorph in this dataset: 7 meV/atom

---

The following is a DFT calculation (r2SCAN) of a geometry-optimized KCr5S8 structure.

Structure (CIF):
```
data_KCr5S8
_cell_length_a 17.981
_cell_length_b 3.494
_cell_length_c 8.704
_cell_angle_alpha 90.00
_cell_angle_beta 105.45
_cell_angle_gamma 90.00
_symmetry_space_group_name_H-M 'C 1 2/m 1'
_symmetry_Int_Tables_number 12
loop_
_symmetry_equiv_pos_as_xyz
'x,y,z'
'-x,-y,-z'
'-x,y,-z'
'x,-y,z'
'x+1/2,y+1/2,z'
'-x+1/2,-y+1/2,-z'
'-x+1/2,y+1/2,-z'
'x+1/2,-y+1/2,z'
loop_
_atom_site_label
_atom_site_fract_x
_atom_site_fract_y
_atom_site_fract_z
K1 0.000 0.000 0.000
Cr1 0.000 0.500 0.500
Cr2 0.158 0.000 0.472
Cr3 0.204 0.000 0.835
S1 0.077 0.000 0.648
S2 0.084 0.500 0.325
S3 0.171 0.500 0.987
S4 0.237 0.500 0.655
```

---

Across the entries above, energy relative to the elements takes the values -0.18 0.03 -1.12 eV/atom, respectively.